# 1
Below is an optimized crystal structure of NaBeSi3O8, with properties calculated at the GGA-PBE level.

Values from the calculation:
energy relative to the lowest polymorph listed for this composition: 739.6 meV per atom
theoretical density: 1.3 g/cm3
spin magnetization: 2.000 μB per formula unit
energy of formation from the pure elements: -2184.6 meV/atom

Lattice parameters (Å, degrees): 16.857 16.180 9.037 90.00 90.00 90.00
Positions (direct):
Na (0.000, 0.000, 0.000)
Na (0.000, 0.000, 0.500)
Na (0.000, 0.500, 0.000)
Na (0.000, 0.500, 0.500)
Na (0.500, 0.000, 0.000)
Na (0.500, 0.000, 0.500)
Na (0.500, 0.500, 0.000)
Na (0.500, 0.500, 0.500)
Be (0.144, 0.157, 0.112)
Be (0.144, 0.343, 0.112)
Be (0.356, 0.657, 0.612)
Be (0.356, 0.843, 0.612)
Be (0.644, 0.157, 0.388)
Be (0.644, 0.343, 0.388)
Be (0.856, 0.657, 0.888)
Be (0.856, 0.843, 0.888)
Si (0.098, 0.178, 0.577)
Si (0.098, 0.322, 0.577)
Si (0.130, 0.063, 0.820)
Si (0.130, 0.437, 0.820)
Si (0.205, 0.036, 0.337)
Si (0.205, 0.464, 0.337)
Si (0.295, 0.536, 0.837)
Si (0.295, 0.964, 0.837)
Si (0.370, 0.563, 0.320)
Si (0.370, 0.937, 0.320)
Si (0.402, 0.678, 0.077)
Si (0.402, 0.822, 0.077)
Si (0.598, 0.178, 0.923)
Si (0.598, 0.322, 0.923)
Si (0.630, 0.063, 0.680)
Si (0.630, 0.437, 0.680)
Si (0.705, 0.036, 0.163)
Si (0.705, 0.464, 0.163)
Si (0.795, 0.536, 0.663)
Si (0.795, 0.964, 0.663)
Si (0.870, 0.563, 0.180)
Si (0.870, 0.937, 0.180)
Si (0.902, 0.678, 0.423)
Si (0.902, 0.822, 0.423)
O (0.034, 0.139, 0.479)
O (0.034, 0.361, 0.479)
O (0.051, 0.016, 0.770)
O (0.051, 0.484, 0.770)
O (0.116, 0.101, 0.983)
O (0.116, 0.399, 0.983)
O (0.131, 0.250, 0.114)
O (0.147, 0.506, 0.448)
O (0.147, 0.994, 0.448)
O (0.154, 0.140, 0.703)
O (0.154, 0.360, 0.703)
O (0.165, 0.750, 0.866)
O (0.188, 0.115, 0.242)
O (0.188, 0.385, 0.242)
O (0.207, 0.501, 0.821)
O (0.207, 0.999, 0.821)
O (0.293, 0.001, 0.321)
O (0.293, 0.499, 0.321)
O (0.312, 0.615, 0.742)
O (0.312, 0.885, 0.742)
O (0.335, 0.250, 0.366)
O (0.346, 0.640, 0.203)
O (0.346, 0.860, 0.203)
O (0.353, 0.006, 0.948)
O (0.353, 0.494, 0.948)
O (0.369, 0.750, 0.614)
O (0.384, 0.601, 0.483)
O (0.384, 0.899, 0.483)
O (0.449, 0.516, 0.270)
O (0.449, 0.984, 0.270)
O (0.466, 0.639, 0.979)
O (0.466, 0.861, 0.979)
O (0.534, 0.139, 0.021)
O (0.534, 0.361, 0.021)
O (0.551, 0.016, 0.730)
O (0.551, 0.484, 0.730)
O (0.616, 0.101, 0.517)
O (0.616, 0.399, 0.517)
O (0.631, 0.250, 0.386)
O (0.647, 0.506, 0.052)
O (0.647, 0.994, 0.052)
O (0.654, 0.140, 0.797)
O (0.654, 0.360, 0.797)
O (0.665, 0.750, 0.634)
O (0.688, 0.115, 0.258)
O (0.688, 0.385, 0.258)
O (0.707, 0.501, 0.679)
O (0.707, 0.999, 0.679)
O (0.793, 0.001, 0.179)
O (0.793, 0.499, 0.179)
O (0.812, 0.615, 0.758)
O (0.812, 0.885, 0.758)
O (0.835, 0.250, 0.134)
O (0.846, 0.640, 0.297)
O (0.846, 0.860, 0.297)
O (0.853, 0.006, 0.552)
O (0.853, 0.494, 0.552)
O (0.869, 0.750, 0.886)
O (0.884, 0.601, 0.017)
O (0.884, 0.899, 0.017)
O (0.949, 0.516, 0.230)
O (0.949, 0.984, 0.230)
O (0.966, 0.639, 0.521)
O (0.966, 0.861, 0.521)

***

# 2
Below is an optimized crystal structure of NaBeSi3O8, with properties calculated at the GGA-PBE level.

Values from the calculation:
energy relative to the lowest polymorph listed for this composition: 708.6 meV per atom
theoretical density: 2.3 g/cm3
spin magnetization: 0.000 μB per formula unit
energy of formation from the pure elements: -2215.6 meV/atom

Lattice parameters (Å, degrees): 7.760 7.760 13.115 101.80 101.80 66.25
Positions (direct):
Na (0.097, 0.903, 0.750)
Na (0.382, 0.618, 0.250)
Na (0.618, 0.382, 0.750)
Na (0.903, 0.097, 0.250)
Be (0.032, 0.098, 0.067)
Be (0.098, 0.032, 0.567)
Be (0.902, 0.968, 0.433)
Be (0.968, 0.902, 0.933)
Si (0.066, 0.414, 0.239)
Si (0.095, 0.679, 0.117)
Si (0.301, 0.446, 0.691)
Si (0.321, 0.905, 0.383)
Si (0.414, 0.066, 0.739)
Si (0.446, 0.301, 0.191)
Si (0.554, 0.699, 0.809)
Si (0.586, 0.934, 0.261)
Si (0.679, 0.095, 0.617)
Si (0.699, 0.554, 0.309)
Si (0.905, 0.321, 0.883)
Si (0.934, 0.586, 0.761)
O (0.006, 0.404, 0.001)
O (0.010, 0.388, 0.809)
O (0.038, 0.881, 0.056)
O (0.039, 0.230, 0.167)
O (0.069, 0.536, 0.663)
O (0.119, 0.962, 0.444)
O (0.156, 0.844, 0.250)
O (0.230, 0.039, 0.667)
O (0.297, 0.366, 0.280)
O (0.323, 0.461, 0.109)
O (0.364, 0.636, 0.750)
O (0.366, 0.297, 0.780)
O (0.388, 0.010, 0.309)
O (0.404, 0.006, 0.501)
O (0.461, 0.323, 0.609)
O (0.464, 0.931, 0.837)
O (0.536, 0.069, 0.163)
O (0.539, 0.677, 0.391)
O (0.596, 0.994, 0.499)
O (0.612, 0.990, 0.691)
O (0.634, 0.703, 0.220)
O (0.636, 0.364, 0.250)
O (0.677, 0.539, 0.891)
O (0.703, 0.634, 0.720)
O (0.770, 0.961, 0.333)
O (0.844, 0.156, 0.750)
O (0.881, 0.038, 0.556)
O (0.931, 0.464, 0.337)
O (0.961, 0.770, 0.833)
O (0.962, 0.119, 0.944)
O (0.990, 0.612, 0.191)
O (0.994, 0.596, 0.999)

***

# 3
Below is an optimized crystal structure of NaBeSi3O8, with properties calculated at the GGA-PBE level.

Values from the calculation:
energy relative to the lowest polymorph listed for this composition: 88.0 meV per atom
theoretical density: 2.5 g/cm3
spin magnetization: 1.001 μB per formula unit
energy of formation from the pure elements: -2836.2 meV/atom

Lattice parameters (Å, degrees): 7.324 7.324 15.515 103.84 103.84 54.92
Positions (direct):
Na (0.054, 0.125, 0.109)
Na (0.125, 0.054, 0.609)
Na (0.875, 0.946, 0.391)
Na (0.946, 0.875, 0.891)
Be (0.196, 0.353, 0.243)
Be (0.353, 0.196, 0.743)
Be (0.647, 0.804, 0.257)
Be (0.804, 0.647, 0.757)
Si (0.006, 0.336, 0.908)
Si (0.094, 0.607, 0.657)
Si (0.336, 0.006, 0.408)
Si (0.393, 0.906, 0.843)
Si (0.441, 0.529, 0.394)
Si (0.471, 0.559, 0.106)
Si (0.529, 0.441, 0.894)
Si (0.559, 0.471, 0.606)
Si (0.607, 0.094, 0.157)
Si (0.664, 0.994, 0.592)
Si (0.906, 0.393, 0.343)
Si (0.994, 0.664, 0.092)
O (0.000, 0.500, 0.000)
O (0.035, 0.546, 0.176)
O (0.039, 0.261, 0.255)
O (0.093, 0.245, 0.424)
O (0.173, 0.347, 0.659)
O (0.190, 0.716, 0.102)
O (0.245, 0.093, 0.924)
O (0.261, 0.039, 0.755)
O (0.284, 0.810, 0.398)
O (0.304, 0.427, 0.334)
O (0.318, 0.594, 0.646)
O (0.347, 0.173, 0.159)
O (0.406, 0.682, 0.854)
O (0.427, 0.304, 0.834)
O (0.454, 0.965, 0.324)
O (0.500, 0.000, 0.500)
O (0.500, 0.500, 0.000)
O (0.500, 0.500, 0.500)
O (0.546, 0.035, 0.676)
O (0.573, 0.696, 0.166)
O (0.594, 0.318, 0.146)
O (0.653, 0.827, 0.841)
O (0.682, 0.406, 0.354)
O (0.696, 0.573, 0.666)
O (0.716, 0.190, 0.602)
O (0.739, 0.961, 0.245)
O (0.755, 0.907, 0.076)
O (0.810, 0.284, 0.898)
O (0.827, 0.653, 0.341)
O (0.907, 0.755, 0.576)
O (0.961, 0.739, 0.745)
O (0.965, 0.454, 0.824)

***

# 4
Below is an optimized crystal structure of NaBeSb, with properties calculated at the GGA-PBE level.

Values from the calculation:
theoretical density: 3.6 g/cm3
spin magnetization: 0.000 μB per formula unit
energy of formation from the pure elements: -230.9 meV/atom

Lattice parameters (Å, degrees): 4.171 4.171 9.376 90.00 90.00 120.00
Positions (direct):
Na (0.000, 0.000, 0.000)
Na (0.000, 0.000, 0.500)
Be (0.333, 0.667, 0.250)
Be (0.667, 0.333, 0.750)
Sb (0.333, 0.667, 0.750)
Sb (0.667, 0.333, 0.250)